Record 1
Material: Tc2N
Method: DFT, GGA-PBE
State: relaxed

```
data_Tc2N
_chemical_formula_sum 'Tc4 N2'
_space_group_name_H-M_alt 'P 1'
_space_group_IT_number 1
_cell_length_a 2.849
_cell_length_b 2.849
_cell_length_c 9.744
_cell_angle_alpha 90.00
_cell_angle_beta 90.00
_cell_angle_gamma 120.00
loop_
_space_group_symop_operation_xyz
'x,y,z'
loop_
_atom_site_label
_atom_site_type_symbol
_atom_site_fract_x
_atom_site_fract_y
_atom_site_fract_z
Tc1 Tc 0.333 0.667 0.108
Tc2 Tc 0.333 0.667 0.392
Tc3 Tc 0.667 0.333 0.608
Tc4 Tc 0.667 0.333 0.892
N1 N 0.333 0.667 0.750
N2 N 0.667 0.333 0.250
```

Results
**Space-group type**: P6_3/mmc
**ΔH_f (0 K)**: -226 meV/atom

Record 2
Material: Li2HoTl
Method: DFT, GGA-PBE
State: relaxed

```
data_Li2HoTl
_chemical_formula_sum 'Li2 Ho1 Tl1'
_space_group_name_H-M_alt 'P 1'
_space_group_IT_number 1
_cell_length_a 4.833
_cell_length_b 4.833
_cell_length_c 4.833
_cell_angle_alpha 60.00
_cell_angle_beta 60.00
_cell_angle_gamma 60.00
loop_
_space_group_symop_operation_xyz
'x,y,z'
loop_
_atom_site_label
_atom_site_type_symbol
_atom_site_fract_x
_atom_site_fract_y
_atom_site_fract_z
Li1 Li 0.250 0.250 0.250
Li2 Li 0.750 0.750 0.750
Ho1 Ho 0.000 0.000 0.000
Tl1 Tl 0.500 0.500 0.500
```

Results
**Space-group type**: Fm-3m
**ΔH_f (0 K)**: -219 meV/atom

Record 3
Material: Cs3Ti2Cl9
Method: DFT, GGA-PBE
State: relaxed

```
data_Cs3Ti2Cl9
_chemical_formula_sum 'Cs6 Ti4 Cl18'
_space_group_name_H-M_alt 'P 1'
_space_group_IT_number 1
_cell_length_a 7.525
_cell_length_b 7.525
_cell_length_c 18.122
_cell_angle_alpha 90.00
_cell_angle_beta 90.00
_cell_angle_gamma 120.00
loop_
_space_group_symop_operation_xyz
'x,y,z'
loop_
_atom_site_label
_atom_site_type_symbol
_atom_site_fract_x
_atom_site_fract_y
_atom_site_fract_z
Cs1 Cs 0.000 0.000 0.250
Cs2 Cs 0.000 0.000 0.750
Cs3 Cs 0.333 0.667 0.076
Cs4 Cs 0.333 0.667 0.424
Cs5 Cs 0.667 0.333 0.576
Cs6 Cs 0.667 0.333 0.924
Ti1 Ti 0.333 0.667 0.666
Ti2 Ti 0.333 0.667 0.834
Ti3 Ti 0.667 0.333 0.166
Ti4 Ti 0.667 0.333 0.334
Cl1 Cl 0.026 0.513 0.750
Cl2 Cl 0.181 0.362 0.595
Cl3 Cl 0.181 0.362 0.905
Cl4 Cl 0.181 0.819 0.595
Cl5 Cl 0.181 0.819 0.905
Cl6 Cl 0.362 0.181 0.095
Cl7 Cl 0.362 0.181 0.405
Cl8 Cl 0.487 0.513 0.750
Cl9 Cl 0.487 0.974 0.750
Cl10 Cl 0.513 0.026 0.250
Cl11 Cl 0.513 0.487 0.250
Cl12 Cl 0.638 0.819 0.595
Cl13 Cl 0.638 0.819 0.905
Cl14 Cl 0.819 0.181 0.095
Cl15 Cl 0.819 0.181 0.405
Cl16 Cl 0.819 0.638 0.095
Cl17 Cl 0.819 0.638 0.405
Cl18 Cl 0.974 0.487 0.250
```

Results
**Space-group type**: P6_3/mmc
**ΔH_f (0 K)**: -2214 meV/atom

Record 4
Material: Tb3SbO7
Method: DFT, GGA-PBE
State: relaxed

```
data_Tb3SbO7
_chemical_formula_sum 'Tb6 Sb2 O14'
_space_group_name_H-M_alt 'P 1'
_space_group_IT_number 1
_cell_length_a 6.514
_cell_length_b 6.514
_cell_length_c 7.552
_cell_angle_alpha 90.00
_cell_angle_beta 90.00
_cell_angle_gamma 109.32
loop_
_space_group_symop_operation_xyz
'x,y,z'
loop_
_atom_site_label
_atom_site_type_symbol
_atom_site_fract_x
_atom_site_fract_y
_atom_site_fract_z
Tb1 Tb 0.013 0.013 0.000
Tb2 Tb 0.032 0.500 0.253
Tb3 Tb 0.500 0.032 0.747
Tb4 Tb 0.500 0.968 0.247
Tb5 Tb 0.968 0.500 0.753
Tb6 Tb 0.987 0.987 0.500
Sb1 Sb 0.500 0.500 0.000
Sb2 Sb 0.500 0.500 0.500
O1 O 0.130 0.870 0.750
O2 O 0.137 0.863 0.250
O3 O 0.176 0.423 0.972
O4 O 0.183 0.436 0.533
O5 O 0.423 0.176 0.028
O6 O 0.430 0.570 0.250
O7 O 0.436 0.183 0.467
O8 O 0.564 0.817 0.967
O9 O 0.570 0.430 0.750
O10 O 0.577 0.824 0.528
O11 O 0.817 0.564 0.033
O12 O 0.824 0.577 0.472
O13 O 0.863 0.137 0.750
O14 O 0.870 0.130 0.250
```

Results
**Space-group type**: C222_1
**ΔH_f (0 K)**: -3418 meV/atom
**Spin magnetization**: 0.0 μB/cell

Record 5
Material: CeRu2
Method: DFT, GGA-PBE
State: relaxed

```
data_CeRu2
_chemical_formula_sum 'Ce2 Ru4'
_space_group_name_H-M_alt 'P 1'
_space_group_IT_number 1
_cell_length_a 5.359
_cell_length_b 5.359
_cell_length_c 5.359
_cell_angle_alpha 60.00
_cell_angle_beta 60.00
_cell_angle_gamma 60.00
loop_
_space_group_symop_operation_xyz
'x,y,z'
loop_
_atom_site_label
_atom_site_type_symbol
_atom_site_fract_x
_atom_site_fract_y
_atom_site_fract_z
Ce1 Ce 0.125 0.125 0.125
Ce2 Ce 0.875 0.875 0.875
Ru1 Ru 0.000 0.500 0.500
Ru2 Ru 0.500 0.000 0.500
Ru3 Ru 0.500 0.500 0.000
Ru4 Ru 0.500 0.500 0.500
```

Results
**Space-group type**: Fd-3m
**ΔH_f (0 K)**: -283 meV/atom

Record 6
Material: VGa2FeCo4
Method: DFT, GGA-PBE
State: relaxed

```
data_VGa2FeCo4
_chemical_formula_sum 'V1 Ga2 Fe1 Co4'
_space_group_name_H-M_alt 'P 1'
_space_group_IT_number 1
_cell_length_a 7.024
_cell_length_b 7.024
_cell_length_c 7.024
_cell_angle_alpha 33.64
_cell_angle_beta 33.64
_cell_angle_gamma 33.64
loop_
_space_group_symop_operation_xyz
'x,y,z'
loop_
_atom_site_label
_atom_site_type_symbol
_atom_site_fract_x
_atom_site_fract_y
_atom_site_fract_z
V1 V 0.000 0.000 0.000
Ga1 Ga 0.250 0.250 0.250
Ga2 Ga 0.750 0.750 0.750
Fe1 Fe 0.500 0.500 0.500
Co1 Co 0.124 0.124 0.124
Co2 Co 0.374 0.374 0.374
Co3 Co 0.626 0.626 0.626
Co4 Co 0.876 0.876 0.876
```

Results
**Space-group type**: R-3m
**ΔH_f (0 K)**: -268 meV/atom
**Spin magnetization**: 7.0 μB/cell

Record 7
Material: Na3Hf4SiP5O24
Method: DFT, GGA-PBE
State: relaxed

```
data_Na3Hf4SiP5O24
_chemical_formula_sum 'Na9 Hf12 Si3 P15 O72'
_space_group_name_H-M_alt 'P 1'
_space_group_IT_number 1
_cell_length_a 8.878
_cell_length_b 8.911
_cell_length_c 23.116
_cell_angle_alpha 89.96
_cell_angle_beta 90.00
_cell_angle_gamma 60.14
loop_
_space_group_symop_operation_xyz
'x,y,z'
loop_
_atom_site_label
_atom_site_type_symbol
_atom_site_fract_x
_atom_site_fract_y
_atom_site_fract_z
Na1 Na 0.000 0.000 0.000
Na2 Na 0.000 0.353 0.750
Na3 Na 0.005 0.357 0.250
Na4 Na 0.333 0.700 0.584
Na5 Na 0.339 0.690 0.085
Na6 Na 0.655 0.039 0.917
Na7 Na 0.665 0.047 0.418
Na8 Na 0.695 0.697 0.333
Na9 Na 0.970 0.703 0.836
Hf1 Hf 0.002 0.360 0.398
Hf2 Hf 0.331 0.706 0.730
Hf3 Hf 0.332 0.697 0.936
Hf4 Hf 0.334 0.695 0.438
Hf5 Hf 0.335 0.698 0.231
Hf6 Hf 0.664 0.029 0.065
Hf7 Hf 0.665 0.039 0.769
Hf8 Hf 0.666 0.033 0.564
Hf9 Hf 0.666 0.043 0.270
Hf10 Hf 0.998 0.364 0.898
Hf11 Hf 0.999 0.367 0.604
Hf12 Hf 0.999 0.373 0.104
Si1 Si 0.041 0.995 0.834
Si2 Si 0.624 0.408 0.334
Si3 Si 0.999 0.659 0.000
P1 P 0.000 0.076 0.501
P2 P 0.042 0.700 0.334
P3 P 0.289 0.078 0.001
P4 P 0.290 0.367 0.501
P5 P 0.332 0.989 0.334
P6 P 0.334 0.409 0.833
P7 P 0.375 0.324 0.167
P8 P 0.376 0.034 0.667
P9 P 0.623 0.700 0.833
P10 P 0.665 0.325 0.666
P11 P 0.665 0.742 0.169
P12 P 0.708 0.368 0.002
P13 P 0.709 0.658 0.500
P14 P 0.956 0.742 0.668
P15 P 0.959 0.034 0.166
O1 O 0.019 0.186 0.839
O2 O 0.020 0.539 0.341
O3 O 0.023 0.165 0.555
O4 O 0.025 0.538 0.056
O5 O 0.125 0.730 0.388
O6 O 0.125 0.874 0.892
O7 O 0.138 0.870 0.173
O8 O 0.139 0.722 0.673
O9 O 0.153 0.675 0.280
O10 O 0.161 0.896 0.495
O11 O 0.162 0.896 0.778
O12 O 0.166 0.399 0.840
O13 O 0.169 0.687 0.996
O14 O 0.172 0.160 0.054
O15 O 0.174 0.171 0.341
O16 O 0.177 0.390 0.555
O17 O 0.194 0.196 0.660
O18 O 0.194 0.340 0.162
O19 O 0.203 0.189 0.947
O20 O 0.204 0.341 0.447
O21 O 0.302 0.906 0.279
O22 O 0.304 0.525 0.780
O23 O 0.306 0.531 0.496
O24 O 0.306 0.897 0.994
O25 O 0.354 0.506 0.174
O26 O 0.359 0.870 0.672
O27 O 0.362 0.874 0.387
O28 O 0.363 0.492 0.888
O29 O 0.461 0.059 0.721
O30 O 0.463 0.212 0.221
O31 O 0.469 0.061 0.008
O32 O 0.472 0.205 0.508
O33 O 0.486 0.238 0.113
O34 O 0.488 0.010 0.613
O35 O 0.492 0.228 0.827
O36 O 0.499 0.727 0.173
O37 O 0.501 0.998 0.326
O38 O 0.504 0.502 0.391
O39 O 0.504 0.505 0.673
O40 O 0.513 0.725 0.888
O41 O 0.526 0.679 0.495
O42 O 0.530 0.529 0.995
O43 O 0.535 0.534 0.279
O44 O 0.538 0.672 0.780
O45 O 0.642 0.235 0.613
O46 O 0.642 0.856 0.115
O47 O 0.646 0.216 0.328
O48 O 0.646 0.861 0.826
O49 O 0.690 0.824 0.224
O50 O 0.691 0.839 0.508
O51 O 0.692 0.212 0.721
O52 O 0.694 0.203 0.009
O53 O 0.797 0.390 0.056
O54 O 0.799 0.543 0.553
O55 O 0.808 0.542 0.839
O56 O 0.813 0.398 0.341
O57 O 0.817 0.575 0.445
O58 O 0.825 0.332 0.948
O59 O 0.827 0.561 0.162
O60 O 0.829 0.342 0.660
O61 O 0.833 0.856 0.007
O62 O 0.836 0.058 0.508
O63 O 0.844 0.057 0.219
O64 O 0.848 0.825 0.723
O65 O 0.853 0.001 0.827
O66 O 0.856 0.856 0.326
O67 O 0.866 0.857 0.615
O68 O 0.873 0.011 0.111
O69 O 0.971 0.576 0.941
O70 O 0.974 0.188 0.447
O71 O 0.974 0.562 0.660
O72 O 0.976 0.196 0.161
```

Results
**Space-group type**: P1
**ΔH_f (0 K)**: -3234 meV/atom
**Spin magnetization**: 0.0 μB/cell

Record 8
Material: Li3Au
Method: DFT, GGA-PBE
State: relaxed

```
data_Li3Au
_chemical_formula_sum 'Li3 Au1'
_space_group_name_H-M_alt 'P 1'
_space_group_IT_number 1
_cell_length_a 4.760
_cell_length_b 4.760
_cell_length_c 4.760
_cell_angle_alpha 129.62
_cell_angle_beta 129.62
_cell_angle_gamma 74.02
loop_
_space_group_symop_operation_xyz
'x,y,z'
loop_
_atom_site_label
_atom_site_type_symbol
_atom_site_fract_x
_atom_site_fract_y
_atom_site_fract_z
Li1 Li 0.000 0.000 0.000
Li2 Li 0.250 0.750 0.500
Li3 Li 0.750 0.250 0.500
Au1 Au 0.500 0.500 0.000
```

Results
**Space-group type**: I4/mmm
**ΔH_f (0 K)**: -403 meV/atom
**Spin magnetization**: 0.0 μB/cell

Record 9
Material: NaMgCu2O3
Method: DFT, GGA-PBE
State: relaxed

```
data_NaMgCu2O3
_chemical_formula_sum 'Na1 Mg1 Cu2 O3'
_space_group_name_H-M_alt 'P 1'
_space_group_IT_number 1
_cell_length_a 5.335
_cell_length_b 2.998
_cell_length_c 5.760
_cell_angle_alpha 90.00
_cell_angle_beta 114.26
_cell_angle_gamma 90.00
loop_
_space_group_symop_operation_xyz
'x,y,z'
loop_
_atom_site_label
_atom_site_type_symbol
_atom_site_fract_x
_atom_site_fract_y
_atom_site_fract_z
Na1 Na 0.000 0.000 0.000
Mg1 Mg 0.186 0.000 0.503
Cu1 Cu 0.488 0.500 0.037
Cu2 Cu 0.749 0.500 0.539
O1 O 0.142 0.500 0.748
O2 O 0.376 0.500 0.380
O3 O 0.858 0.500 0.242
```

Results
**Space-group type**: Pm
**ΔH_f (0 K)**: -1427 meV/atom
**Spin magnetization**: 0.9 μB/cell

Record 10
Material: MgSi
Method: DFT, GGA-PBE
State: relaxed

```
data_MgSi
_chemical_formula_sum 'Mg12 Si12'
_space_group_name_H-M_alt 'P 1'
_space_group_IT_number 1
_cell_length_a 5.472
_cell_length_b 5.928
_cell_length_c 13.865
_cell_angle_alpha 82.71
_cell_angle_beta 85.00
_cell_angle_gamma 88.32
loop_
_space_group_symop_operation_xyz
'x,y,z'
loop_
_atom_site_label
_atom_site_type_symbol
_atom_site_fract_x
_atom_site_fract_y
_atom_site_fract_z
Mg1 Mg 0.012 0.274 0.434
Mg2 Mg 0.147 0.070 0.904
Mg3 Mg 0.193 0.570 0.907
Mg4 Mg 0.244 0.490 0.229
Mg5 Mg 0.388 0.988 0.233
Mg6 Mg 0.478 0.223 0.566
Mg7 Mg 0.522 0.777 0.434
Mg8 Mg 0.612 0.012 0.767
Mg9 Mg 0.756 0.510 0.771
Mg10 Mg 0.807 0.430 0.093
Mg11 Mg 0.853 0.930 0.096
Mg12 Mg 0.988 0.726 0.566
Si1 Si 0.038 0.785 0.369
Si2 Si 0.139 0.873 0.733
Si3 Si 0.245 0.389 0.730
Si4 Si 0.324 0.246 0.062
Si5 Si 0.338 0.792 0.064
Si6 Si 0.479 0.717 0.629
Si7 Si 0.521 0.283 0.371
Si8 Si 0.662 0.208 0.936
Si9 Si 0.676 0.754 0.938
Si10 Si 0.755 0.611 0.270
Si11 Si 0.861 0.127 0.267
Si12 Si 0.962 0.215 0.631
```

Results
**Space-group type**: P-1
**ΔH_f (0 K)**: 85 meV/atom
**Spin magnetization**: 0.0 μB/cell

Record 11
Material: Fe21Mo2C6
Method: DFT, GGA-PBE
State: relaxed

```
data_Fe21Mo2C6
_chemical_formula_sum 'Fe21 Mo2 C6'
_space_group_name_H-M_alt 'P 1'
_space_group_IT_number 1
_cell_length_a 7.420
_cell_length_b 7.420
_cell_length_c 7.420
_cell_angle_alpha 60.00
_cell_angle_beta 60.00
_cell_angle_gamma 60.00
loop_
_space_group_symop_operation_xyz
'x,y,z'
loop_
_atom_site_label
_atom_site_type_symbol
_atom_site_fract_x
_atom_site_fract_y
_atom_site_fract_z
Fe1 Fe 0.000 0.000 0.000
Fe2 Fe 0.000 0.000 0.339
Fe3 Fe 0.000 0.000 0.661
Fe4 Fe 0.000 0.339 0.000
Fe5 Fe 0.000 0.339 0.661
Fe6 Fe 0.000 0.661 0.000
Fe7 Fe 0.000 0.661 0.339
Fe8 Fe 0.151 0.616 0.616
Fe9 Fe 0.339 0.000 0.000
Fe10 Fe 0.339 0.000 0.661
Fe11 Fe 0.339 0.661 0.000
Fe12 Fe 0.384 0.384 0.384
Fe13 Fe 0.384 0.384 0.849
Fe14 Fe 0.384 0.849 0.384
Fe15 Fe 0.616 0.151 0.616
Fe16 Fe 0.616 0.616 0.151
Fe17 Fe 0.616 0.616 0.616
Fe18 Fe 0.661 0.000 0.000
Fe19 Fe 0.661 0.000 0.339
Fe20 Fe 0.661 0.339 0.000
Fe21 Fe 0.849 0.384 0.384
Mo1 Mo 0.250 0.250 0.250
Mo2 Mo 0.750 0.750 0.750
C1 C 0.280 0.280 0.720
C2 C 0.280 0.720 0.280
C3 C 0.280 0.720 0.720
C4 C 0.720 0.280 0.280
C5 C 0.720 0.280 0.720
C6 C 0.720 0.720 0.280
```

Results
**Space-group type**: Fm-3m
**ΔH_f (0 K)**: 23 meV/atom
**Spin magnetization**: 35.0 μB/cell

Record 12
Material: KCeHfZrO6
Method: DFT, GGA-PBE
State: relaxed

```
data_KCeHfZrO6
_chemical_formula_sum 'K1 Ce1 Hf1 Zr1 O6'
_space_group_name_H-M_alt 'P 1'
_space_group_IT_number 1
_cell_length_a 5.872
_cell_length_b 5.872
_cell_length_c 5.872
_cell_angle_alpha 60.00
_cell_angle_beta 60.00
_cell_angle_gamma 60.00
loop_
_space_group_symop_operation_xyz
'x,y,z'
loop_
_atom_site_label
_atom_site_type_symbol
_atom_site_fract_x
_atom_site_fract_y
_atom_site_fract_z
K1 K 0.000 0.000 0.000
Ce1 Ce 0.500 0.500 0.500
Hf1 Hf 0.250 0.250 0.250
Zr1 Zr 0.750 0.750 0.750
O1 O 0.002 0.002 0.498
O2 O 0.002 0.498 0.002
O3 O 0.002 0.498 0.498
O4 O 0.498 0.002 0.002
O5 O 0.498 0.002 0.498
O6 O 0.498 0.498 0.002
```

Results
**Space-group type**: F-43m
**ΔH_f (0 K)**: -3450 meV/atom
**Spin magnetization**: 1.0 μB/cell

Record 13
Material: BaSrBiSbO6
Method: DFT, GGA-PBE
State: relaxed

```
data_BaSrBiSbO6
_chemical_formula_sum 'Ba1 Sr1 Bi1 Sb1 O6'
_space_group_name_H-M_alt 'P 1'
_space_group_IT_number 1
_cell_length_a 6.093
_cell_length_b 6.093
_cell_length_c 6.093
_cell_angle_alpha 60.00
_cell_angle_beta 60.00
_cell_angle_gamma 60.00
loop_
_space_group_symop_operation_xyz
'x,y,z'
loop_
_atom_site_label
_atom_site_type_symbol
_atom_site_fract_x
_atom_site_fract_y
_atom_site_fract_z
Ba1 Ba 0.000 0.000 0.000
Sr1 Sr 0.500 0.500 0.500
Bi1 Bi 0.250 0.250 0.250
Sb1 Sb 0.750 0.750 0.750
O1 O 0.517 0.517 0.983
O2 O 0.517 0.983 0.517
O3 O 0.517 0.983 0.983
O4 O 0.983 0.517 0.517
O5 O 0.983 0.517 0.983
O6 O 0.983 0.983 0.517
```

Results
**Space-group type**: F-43m
**ΔH_f (0 K)**: -2409 meV/atom
**Spin magnetization**: 0.0 μB/cell

Record 14
Material: Er3ScS6
Method: DFT, GGA-PBE
State: relaxed

```
data_Er3ScS6
_chemical_formula_sum 'Er6 Sc2 S12'
_space_group_name_H-M_alt 'P 1'
_space_group_IT_number 1
_cell_length_a 10.864
_cell_length_b 3.858
_cell_length_c 11.067
_cell_angle_alpha 90.00
_cell_angle_beta 109.36
_cell_angle_gamma 90.00
loop_
_space_group_symop_operation_xyz
'x,y,z'
loop_
_atom_site_label
_atom_site_type_symbol
_atom_site_fract_x
_atom_site_fract_y
_atom_site_fract_z
Er1 Er 0.049 0.250 0.193
Er2 Er 0.164 0.250 0.583
Er3 Er 0.318 0.750 0.000
Er4 Er 0.682 0.250 0.000
Er5 Er 0.836 0.750 0.417
Er6 Er 0.951 0.750 0.807
Sc1 Sc 0.438 0.250 0.334
Sc2 Sc 0.562 0.750 0.666
S1 S 0.082 0.750 0.400
S2 S 0.111 0.250 0.964
S3 S 0.191 0.750 0.750
S4 S 0.265 0.750 0.231
S5 S 0.403 0.250 0.561
S6 S 0.481 0.250 0.121
S7 S 0.519 0.750 0.879
S8 S 0.597 0.750 0.439
S9 S 0.735 0.250 0.769
S10 S 0.809 0.250 0.250
S11 S 0.889 0.750 0.036
S12 S 0.918 0.250 0.600
```

Results
**Space-group type**: P2_1/m
**ΔH_f (0 K)**: -2311 meV/atom